Below is ZrCrCuS4 after structural relaxation, with properties calculated at the PBE-GGA level.

POSCAR file:
```
ZrCrCuS4
1.0
7.116 0.000 0.000
0.000 12.416 0.000
0.000 0.000 6.089
Zr Cr Cu S
4 4 4 16
Direct
0.000 0.000 0.000 Zr
0.000 0.500 0.000 Zr
0.500 0.000 0.000 Zr
0.500 0.500 0.000 Zr
0.250 0.007 0.496 Cr
0.250 0.493 0.496 Cr
0.750 0.507 0.504 Cr
0.750 0.993 0.504 Cr
0.250 0.250 0.861 Cu
0.250 0.750 0.530 Cu
0.750 0.250 0.470 Cu
0.750 0.750 0.139 Cu
0.001 0.616 0.350 S
0.001 0.884 0.350 S
0.250 0.120 0.170 S
0.250 0.380 0.170 S
0.250 0.614 0.809 S
0.250 0.886 0.809 S
0.499 0.616 0.350 S
0.499 0.884 0.350 S
0.501 0.116 0.650 S
0.501 0.384 0.650 S
0.750 0.114 0.191 S
0.750 0.386 0.191 S
0.750 0.620 0.830 S
0.750 0.880 0.830 S
0.999 0.116 0.650 S
0.999 0.384 0.650 S
```

## Properties
**Energy above the most stable polymorph in this dataset**: 151 meV per atom

---

Below is Rb2SiAs2 after structural relaxation, with properties calculated at the PBE-GGA level.

POSCAR file:
```
Rb2SiAs2
1.0
-3.702 7.001 3.243
3.702 -7.001 3.243
3.702 7.001 -3.243
Rb Si As
4 2 4
Direct
0.144 0.166 0.310 Rb
0.356 0.666 0.023 Rb
0.644 0.334 0.977 Rb
0.856 0.834 0.690 Rb
0.250 0.750 0.500 Si
0.750 0.250 0.500 Si
0.097 0.658 0.754 As
0.403 0.158 0.561 As
0.597 0.842 0.439 As
0.903 0.342 0.246 As
```

---

Below is K2ReCl5O after structural relaxation, with properties calculated at the PBE-GGA level.

POSCAR file:
```
K2ReCl5O
1.0
-3.603 3.603 8.987
3.603 -3.603 8.987
3.603 3.603 -8.987
K Re Cl O
4 2 10 2
Direct
0.000 0.500 0.500 K
0.250 0.750 0.500 K
0.500 0.000 0.500 K
0.750 0.250 0.500 K
0.104 0.104 0.000 Re
0.896 0.896 0.000 Re
0.122 0.122 0.467 Cl
0.122 0.655 0.000 Cl
0.237 0.237 0.000 Cl
0.345 0.345 0.467 Cl
0.345 0.878 0.000 Cl
0.655 0.122 0.000 Cl
0.655 0.655 0.533 Cl
0.763 0.763 0.000 Cl
0.878 0.345 0.000 Cl
0.878 0.878 0.533 Cl
0.000 0.000 0.000 O
0.500 0.500 0.000 O
```

## Properties
**Energy above the most stable polymorph in this dataset**: 260 meV per atom

---

Below is HfNiSb after structural relaxation, with properties calculated at the PBE-GGA level.

POSCAR file:
```
HfNiSb
1.0
6.627 0.000 0.000
0.000 4.205 0.000
0.000 0.000 7.640
Hf Ni Sb
4 4 4
Direct
0.001 0.250 0.201 Hf
0.499 0.750 0.701 Hf
0.501 0.250 0.299 Hf
0.999 0.750 0.799 Hf
0.183 0.250 0.589 Ni
0.317 0.750 0.089 Ni
0.683 0.250 0.911 Ni
0.817 0.750 0.411 Ni
0.213 0.750 0.411 Sb
0.287 0.250 0.911 Sb
0.713 0.750 0.089 Sb
0.787 0.250 0.589 Sb
```

---

We obtain volume values of 19.2, 33.6, 25.9, 17.7 A^3/atom for the records listed above, in that order.
We obtain theoretical density values of 4136, 3447, 3256, 11200 kg/m³ for the records listed above, in that order.
We obtain energy of formation values of -1.1066, -0.4402, -1.1848, -0.5714 eV per atom for the records listed above, in that order.